Record 1
DFT (GGA-PBE) results for a relaxed structure of SrNi2P4.

a = 10.6166 Å, b = 9.8292 Å, c = 5.4395 Å
α = 82.75°, β = 66.70°, γ = 30.55°
With the nearest neighbours (Å) after each atom.
Fractional positions:
Sr  0.1250  0.1250  0.1250  8 P 3.12-3.14, 4 Ni 3.45
Sr  0.8750  0.8750  0.8750  8 P 3.12-3.14, 4 Ni 3.45
Ni  0.2554  0.2554  0.4946  4 P 2.21-2.22
Ni  0.4946  0.4946  0.2554  4 P 2.21-2.22
Ni  0.5054  0.5054  0.7446  4 P 2.21-2.22
Ni  0.7446  0.7446  0.5054  4 P 2.21-2.22
P  0.1775  0.6855  0.1866  2 Ni 2.21-2.22, 2 P 2.23-2.25
P  0.1866  0.4505  0.1775  2 Ni 2.21-2.22, 2 P 2.23-2.25
P  0.3145  0.8225  0.5495  2 Ni 2.21-2.22, 2 P 2.23-2.25
P  0.4505  0.1866  0.6855  2 Ni 2.21-2.22, 2 P 2.23-2.25
P  0.5495  0.8134  0.3145  2 Ni 2.21-2.22, 2 P 2.23-2.25
P  0.6855  0.1775  0.4505  2 Ni 2.21-2.22, 2 P 2.23-2.25
P  0.8134  0.5495  0.8225  2 Ni 2.21-2.22, 2 P 2.23-2.25
P  0.8225  0.3145  0.8134  2 Ni 2.21-2.22, 2 P 2.23-2.25

ΔH_f (0 K) = -642 meV/atom
symmetry = Fddd
crystal system = orthorhombic

---

Record 2
DFT (GGA-PBE) results for a relaxed structure of Ta5Ni4P4.

a = 7.2323 Å, b = 7.2323 Å, c = 7.2323 Å
α = 93.41°, β = 93.41°, γ = 151.76°
With the nearest neighbours (Å) after each atom.
Fractional positions:
Ta  0.0000  0.0000  0.0000  4 P 2.62, 8 Ta 2.92
Ta  0.3053  0.6304  0.9357  5 P 2.57-2.71, 3 Ni 2.78-2.80
Ta  0.3696  0.3053  0.6749  5 P 2.57-2.71, 3 Ni 2.78-2.80
Ta  0.6304  0.6947  0.3251  5 P 2.57-2.71, 3 Ni 2.78-2.80
Ta  0.6947  0.3696  0.0643  5 P 2.57-2.71, 3 Ni 2.78-2.80
Ni  0.1106  0.4125  0.5230  3 P 2.21-2.25
Ni  0.4125  0.8894  0.3019  3 P 2.21-2.25
Ni  0.5875  0.1106  0.6981  3 P 2.21-2.25
Ni  0.8894  0.5875  0.4770  3 P 2.21-2.25
P  0.0561  0.7416  0.7977  3 Ni 2.21-2.25
P  0.2584  0.0561  0.3144  3 Ni 2.21-2.25
P  0.7416  0.9439  0.6856  3 Ni 2.21-2.25
P  0.9439  0.2584  0.2023  3 Ni 2.21-2.25

ΔH_f (0 K) = -783 meV/atom
symmetry = I4/m
crystal system = tetragonal

---

Record 3
DFT (GGA-PBE) results for a relaxed structure of TbNiP.

a = 3.9102 Å, b = 3.9102 Å, c = 15.5407 Å
α = 90.00°, β = 90.00°, γ = 120.00°
With the nearest neighbours (Å) after each atom.
Fractional positions:
Tb  0.0000  0.0000  0.0000  6 P 2.95, 6 Ni 3.01
Tb  0.0000  0.0000  0.2500  6 Ni 2.95, 6 P 3.00
Tb  0.0000  0.0000  0.5000  6 P 2.95, 6 Ni 3.01
Tb  0.0000  0.0000  0.7500  6 Ni 2.95, 6 P 3.00
Ni  0.3333  0.6667  0.1276  3 P 2.26
Ni  0.3333  0.6667  0.3724  3 P 2.26
Ni  0.6667  0.3333  0.6276  3 P 2.26
Ni  0.6667  0.3333  0.8724  3 P 2.26
P  0.3333  0.6667  0.6225  3 Ni 2.26
P  0.3333  0.6667  0.8775  3 Ni 2.26
P  0.6667  0.3333  0.1225  3 Ni 2.26
P  0.6667  0.3333  0.3775  3 Ni 2.26

ΔH_f (0 K) = -1215 meV/atom
symmetry = P6_3/mmc
crystal system = hexagonal

---

| no. | energy (eV/atom) |
| --- | --- |
| 1 | -5.628 |
| 2 | -8.788 |
| 3 | -6.491 |